No. 1
CoSb2Br2O3 | GGA+U | relaxed

Properties
Volume (Å³/atom): 22.8
ΔH_f (0 K) (eV/atom): -1.331
Total energy after the MP2020 corrections (eV per cell): -176.5
E_tot (eV per atom): -5.054

```
data_CoSb2Br2O3
_cell_length_a 8.563
_cell_length_b 9.151
_cell_length_c 10.289
_cell_angle_alpha 65.74
_cell_angle_beta 84.07
_cell_angle_gamma 91.98
_space_group_name_H-M_alt 'P 1'
_space_group_IT_number 1
loop_
_space_group_symop_operation_xyz
'x,y,z'
loop_
_atom_site_label
_atom_site_type_symbol
_atom_site_fract_x
_atom_site_fract_y
_atom_site_fract_z
Co1 Co 0.509 0.617 0.095
Co2 Co 0.491 0.883 0.405
Co3 Co 0.509 0.117 0.595
Co4 Co 0.491 0.383 0.905
Sb1 Sb 0.684 0.030 0.935
Sb2 Sb 0.684 0.530 0.435
Sb3 Sb 0.316 0.970 0.065
Sb4 Sb 0.316 0.470 0.565
Sb5 Sb 0.694 0.791 0.732
Sb6 Sb 0.694 0.291 0.232
Sb7 Sb 0.306 0.209 0.268
Sb8 Sb 0.306 0.709 0.768
Br1 Br 0.774 0.930 0.288
Br2 Br 0.774 0.430 0.787
Br3 Br 0.226 0.070 0.713
Br4 Br 0.226 0.570 0.212
Br5 Br 0.858 0.232 0.468
Br6 Br 0.858 0.732 0.968
Br7 Br 0.142 0.768 0.532
Br8 Br 0.142 0.268 0.032
O1 O 0.484 0.651 0.435
O2 O 0.484 0.151 0.935
O3 O 0.516 0.349 0.565
O4 O 0.516 0.849 0.065
O5 O 0.368 0.009 0.238
O6 O 0.368 0.509 0.738
O7 O 0.632 0.991 0.762
O8 O 0.632 0.491 0.262
O9 O 0.514 0.148 0.384
O10 O 0.514 0.648 0.884
O11 O 0.486 0.852 0.616
O12 O 0.486 0.352 0.116
```



No. 2
Sr2CoBr2O2 | GGA+U | relaxed

Properties
Volume (Å³/atom): 20.9
ΔE to the lowest computed polymorph (eV/atom): 0.000
ΔH_f (0 K) (eV/atom): -2.196
Total energy after the MP2020 corrections (eV per cell): -156.1
E_tot (eV per atom): -5.146

```
data_Sr2CoBr2O2
_cell_length_a 5.802
_cell_length_b 17.837
_cell_length_c 5.802
_cell_angle_alpha 99.36
_cell_angle_beta 90.01
_cell_angle_gamma 80.64
_space_group_name_H-M_alt 'P 1'
_space_group_IT_number 1
loop_
_space_group_symop_operation_xyz
'x,y,z'
loop_
_atom_site_label
_atom_site_type_symbol
_atom_site_fract_x
_atom_site_fract_y
_atom_site_fract_z
Sr1 Sr 0.297 0.405 0.703
Sr2 Sr 0.797 0.405 0.203
Sr3 Sr 0.547 0.905 0.953
Sr4 Sr 0.047 0.905 0.453
Sr5 Sr 0.453 0.095 0.047
Sr6 Sr 0.953 0.095 0.547
Sr7 Sr 0.703 0.595 0.297
Sr8 Sr 0.203 0.595 0.797
Co1 Co 0.500 0.000 0.500
Co2 Co 0.250 0.500 0.250
Co3 Co 0.000 0.000 0.000
Co4 Co 0.750 0.500 0.750
Br1 Br 0.414 0.173 0.586
Br2 Br 0.914 0.173 0.086
Br3 Br 0.664 0.673 0.836
Br4 Br 0.164 0.673 0.336
Br5 Br 0.336 0.327 0.164
Br6 Br 0.836 0.327 0.664
Br7 Br 0.586 0.827 0.414
Br8 Br 0.086 0.827 0.914
O1 O 0.250 0.000 0.250
O2 O 0.750 0.000 0.750
O3 O 0.500 0.500 0.500
O4 O 0.000 0.500 0.000
O5 O 0.750 0.000 0.250
O6 O 0.250 0.000 0.750
O7 O 0.000 0.500 0.500
O8 O 0.500 0.500 0.000
```



No. 3
Sr2CoBr2O2 | GGA+U | relaxed

Properties
Volume (Å³/atom): 20.9
ΔE to the lowest computed polymorph (eV/atom): 0.006
ΔH_f (0 K) (eV/atom): -2.190
Total energy after the MP2020 corrections (eV per cell): -155.9
E_tot (eV per atom): -5.139

```
data_Sr2CoBr2O2
_cell_length_a 8.096
_cell_length_b 9.115
_cell_length_c 9.298
_cell_angle_alpha 96.34
_cell_angle_beta 64.17
_cell_angle_gamma 77.17
_space_group_name_H-M_alt 'P 1'
_space_group_IT_number 1
loop_
_space_group_symop_operation_xyz
'x,y,z'
loop_
_atom_site_label
_atom_site_type_symbol
_atom_site_fract_x
_atom_site_fract_y
_atom_site_fract_z
Sr1 Sr 0.446 0.812 0.703
Sr2 Sr 0.946 0.811 0.703
Sr3 Sr 0.195 0.812 0.203
Sr4 Sr 0.697 0.812 0.203
Sr5 Sr 0.555 0.188 0.297
Sr6 Sr 0.054 0.188 0.297
Sr7 Sr 0.304 0.188 0.797
Sr8 Sr 0.804 0.189 0.797
Co1 Co 0.250 0.000 0.501
Co2 Co 0.500 0.000 0.999
Co3 Co 0.750 0.000 0.501
Co4 Co 0.000 0.000 0.999
Br1 Br 0.621 0.343 0.586
Br2 Br 0.121 0.344 0.586
Br3 Br 0.371 0.344 0.086
Br4 Br 0.872 0.343 0.085
Br5 Br 0.379 0.656 0.414
Br6 Br 0.878 0.657 0.415
Br7 Br 0.129 0.657 0.914
Br8 Br 0.629 0.656 0.914
O1 O 0.503 0.000 0.501
O2 O 0.997 0.000 0.500
O3 O 0.247 0.000 0.999
O4 O 0.754 0.000 0.000
O5 O 0.875 0.000 0.250
O6 O 0.375 0.000 0.250
O7 O 0.622 0.000 0.757
O8 O 0.128 0.000 0.743
```



No. 4
Co2TeBr2O3 | GGA+U | relaxed

Properties
Volume (Å³/atom): 21.3
ΔH_f (0 K) (eV/atom): -1.017
Total energy after the MP2020 corrections (eV per cell): -348.9
E_tot (eV per atom): -4.784

```
data_Co2TeBr2O3
_cell_length_a 7.836
_cell_length_b 10.678
_cell_length_c 16.260
_cell_angle_alpha 90.00
_cell_angle_beta 90.00
_cell_angle_gamma 90.00
_space_group_name_H-M_alt 'P 1'
_space_group_IT_number 1
loop_
_space_group_symop_operation_xyz
'x,y,z'
loop_
_atom_site_label
_atom_site_type_symbol
_atom_site_fract_x
_atom_site_fract_y
_atom_site_fract_z
Co1 Co 0.894 0.771 0.537
Co2 Co 0.394 0.771 0.963
Co3 Co 0.106 0.229 0.463
Co4 Co 0.606 0.229 0.037
Co5 Co 0.345 0.007 0.399
Co6 Co 0.106 0.271 0.037
Co7 Co 0.845 0.493 0.399
Co8 Co 0.155 0.507 0.601
Co9 Co 0.606 0.271 0.463
Co10 Co 0.655 0.993 0.601
Co11 Co 0.655 0.507 0.899
Co12 Co 0.845 0.007 0.101
Co13 Co 0.394 0.729 0.537
Co14 Co 0.155 0.993 0.899
Co15 Co 0.894 0.729 0.963
Co16 Co 0.345 0.493 0.101
Te1 Te 0.711 0.527 0.598
Te2 Te 0.289 0.027 0.098
Te3 Te 0.211 0.973 0.598
Te4 Te 0.711 0.973 0.902
Te5 Te 0.789 0.027 0.402
Te6 Te 0.789 0.473 0.098
Te7 Te 0.211 0.527 0.902
Te8 Te 0.289 0.473 0.402
Br1 Br 0.058 0.209 0.883
Br2 Br 0.157 0.411 0.205
Br3 Br 0.343 0.589 0.705
Br4 Br 0.843 0.589 0.795
Br5 Br 0.058 0.291 0.617
Br6 Br 0.442 0.709 0.117
Br7 Br 0.442 0.791 0.383
Br8 Br 0.942 0.791 0.117
Br9 Br 0.843 0.911 0.705
Br10 Br 0.657 0.411 0.295
Br11 Br 0.157 0.089 0.295
Br12 Br 0.657 0.089 0.205
Br13 Br 0.558 0.291 0.883
Br14 Br 0.942 0.709 0.383
Br15 Br 0.343 0.911 0.795
Br16 Br 0.558 0.209 0.617
O1 O 0.563 0.411 0.082
O2 O 0.693 0.445 0.492
O3 O 0.563 0.089 0.418
O4 O 0.357 0.188 0.060
O5 O 0.857 0.312 0.060
O6 O 0.193 0.445 0.008
O7 O 0.693 0.055 0.008
O8 O 0.063 0.089 0.082
O9 O 0.807 0.555 0.992
O10 O 0.643 0.812 0.940
O11 O 0.193 0.055 0.492
O12 O 0.437 0.589 0.918
O13 O 0.307 0.555 0.508
O14 O 0.143 0.812 0.560
O15 O 0.643 0.688 0.560
O16 O 0.807 0.945 0.508
O17 O 0.143 0.688 0.940
O18 O 0.857 0.188 0.440
O19 O 0.063 0.411 0.418
O20 O 0.357 0.312 0.440
O21 O 0.437 0.911 0.582
O22 O 0.937 0.911 0.918
O23 O 0.307 0.945 0.992
O24 O 0.937 0.589 0.582
```



No. 5
Co7Te4Br6O12 | GGA+U | relaxed

Properties
Volume (Å³/atom): 19.0
ΔH_f (0 K) (eV/atom): -1.162
Total energy after the MP2020 corrections (eV per cell): -330.5
E_tot (eV per atom): -5.018

```
data_Co7Te4Br6O12
_cell_length_a 11.304
_cell_length_b 11.304
_cell_length_c 14.839
_cell_angle_alpha 58.31
_cell_angle_beta 58.31
_cell_angle_gamma 44.95
_space_group_name_H-M_alt 'P 1'
_space_group_IT_number 1
loop_
_space_group_symop_operation_xyz
'x,y,z'
loop_
_atom_site_label
_atom_site_type_symbol
_atom_site_fract_x
_atom_site_fract_y
_atom_site_fract_z
Co1 Co 0.527 0.894 0.619
Co2 Co 0.478 0.103 0.877
Co3 Co 0.473 0.106 0.381
Co4 Co 0.897 0.522 0.623
Co5 Co 0.522 0.897 0.123
Co6 Co 0.267 0.063 0.839
Co7 Co 0.000 0.000 0.500
Co8 Co 0.106 0.473 0.881
Co9 Co 0.733 0.937 0.161
Co10 Co 0.937 0.733 0.661
Co11 Co 0.000 0.000 0.000
Co12 Co 0.894 0.527 0.119
Co13 Co 0.103 0.478 0.377
Co14 Co 0.063 0.267 0.339
Te1 Te 0.323 0.327 0.638
Te2 Te 0.125 0.111 0.600
Te3 Te 0.327 0.323 0.138
Te4 Te 0.673 0.677 0.862
Te5 Te 0.889 0.875 0.900
Te6 Te 0.875 0.889 0.400
Te7 Te 0.111 0.125 0.100
Te8 Te 0.677 0.673 0.362
Br1 Br 0.902 0.275 0.825
Br2 Br 0.725 0.098 0.675
Br3 Br 0.275 0.902 0.325
Br4 Br 0.603 0.629 0.111
Br5 Br 0.292 0.811 0.850
Br6 Br 0.811 0.292 0.350
Br7 Br 0.397 0.371 0.889
Br8 Br 0.189 0.708 0.650
Br9 Br 0.098 0.725 0.175
Br10 Br 0.629 0.603 0.611
Br11 Br 0.708 0.189 0.150
Br12 Br 0.371 0.397 0.389
O1 O 0.058 0.338 0.543
O2 O 0.873 0.936 0.008
O3 O 0.493 0.085 0.142
O4 O 0.004 0.363 0.031
O5 O 0.996 0.637 0.969
O6 O 0.936 0.873 0.508
O7 O 0.064 0.127 0.492
O8 O 0.272 0.282 0.799
O9 O 0.507 0.915 0.858
O10 O 0.085 0.493 0.642
O11 O 0.123 0.347 0.173
O12 O 0.127 0.064 0.992
O13 O 0.915 0.507 0.358
O14 O 0.877 0.653 0.827
O15 O 0.347 0.123 0.673
O16 O 0.662 0.942 0.957
O17 O 0.637 0.996 0.469
O18 O 0.338 0.058 0.043
O19 O 0.653 0.877 0.327
O20 O 0.942 0.662 0.457
O21 O 0.282 0.272 0.299
O22 O 0.728 0.718 0.201
O23 O 0.718 0.728 0.701
O24 O 0.363 0.004 0.531
```



No. 6
ZnCoTeBr2O3 | GGA+U | relaxed

Properties
Volume (Å³/atom): 21.6
ΔH_f (0 K) (eV/atom): -1.154
Total energy after the MP2020 corrections (eV per cell): -310.9
E_tot (eV per atom): -4.396

```
data_ZnCoTeBr2O3
_cell_length_a 7.806
_cell_length_b 10.795
_cell_length_c 16.440
_cell_angle_alpha 90.00
_cell_angle_beta 90.00
_cell_angle_gamma 90.00
_space_group_name_H-M_alt 'P 1'
_space_group_IT_number 1
loop_
_space_group_symop_operation_xyz
'x,y,z'
loop_
_atom_site_label
_atom_site_type_symbol
_atom_site_fract_x
_atom_site_fract_y
_atom_site_fract_z
Zn1 Zn 0.344 0.997 0.602
Zn2 Zn 0.656 0.497 0.102
Zn3 Zn 0.156 0.003 0.102
Zn4 Zn 0.844 0.503 0.602
Zn5 Zn 0.844 0.997 0.898
Zn6 Zn 0.344 0.503 0.898
Zn7 Zn 0.156 0.497 0.398
Zn8 Zn 0.656 0.003 0.398
Co1 Co 0.608 0.771 0.965
Co2 Co 0.392 0.271 0.465
Co3 Co 0.892 0.271 0.035
Co4 Co 0.608 0.729 0.535
Co5 Co 0.108 0.729 0.965
Co6 Co 0.892 0.229 0.465
Co7 Co 0.108 0.771 0.535
Co8 Co 0.392 0.229 0.035
Te1 Te 0.787 0.971 0.596
Te2 Te 0.287 0.529 0.596
Te3 Te 0.287 0.971 0.904
Te4 Te 0.213 0.029 0.404
Te5 Te 0.787 0.529 0.904
Te6 Te 0.713 0.471 0.404
Te7 Te 0.213 0.471 0.096
Te8 Te 0.713 0.029 0.096
Br1 Br 0.657 0.908 0.798
Br2 Br 0.157 0.908 0.702
Br3 Br 0.439 0.292 0.882
Br4 Br 0.439 0.208 0.618
Br5 Br 0.157 0.592 0.798
Br6 Br 0.343 0.408 0.298
Br7 Br 0.061 0.792 0.118
Br8 Br 0.561 0.708 0.118
Br9 Br 0.843 0.092 0.298
Br10 Br 0.561 0.792 0.382
Br11 Br 0.939 0.208 0.882
Br12 Br 0.343 0.092 0.202
Br13 Br 0.061 0.708 0.382
Br14 Br 0.657 0.592 0.702
Br15 Br 0.843 0.408 0.202
Br16 Br 0.939 0.292 0.618
O1 O 0.197 0.944 0.507
O2 O 0.561 0.592 0.919
O3 O 0.857 0.687 0.943
O4 O 0.303 0.444 0.493
O5 O 0.143 0.187 0.443
O6 O 0.061 0.592 0.581
O7 O 0.439 0.092 0.419
O8 O 0.643 0.313 0.443
O9 O 0.697 0.556 0.507
O10 O 0.197 0.556 0.993
O11 O 0.061 0.908 0.919
O12 O 0.939 0.408 0.419
O13 O 0.303 0.056 0.007
O14 O 0.939 0.092 0.081
O15 O 0.561 0.908 0.581
O16 O 0.643 0.187 0.057
O17 O 0.697 0.944 0.993
O18 O 0.803 0.444 0.007
O19 O 0.357 0.813 0.943
O20 O 0.857 0.813 0.557
O21 O 0.357 0.687 0.557
O22 O 0.803 0.056 0.493
O23 O 0.143 0.313 0.057
O24 O 0.439 0.408 0.081
```



No. 7
Cr4Si2Br2O7 | GGA+U | relaxed

Properties
Volume (Å³/atom): 15.3
ΔH_f (0 K) (eV/atom): -2.268
Total energy after the MP2020 corrections (eV per cell): -485.6
E_tot (eV per atom): -7.240

```
data_Cr4Si2Br2O7
_cell_length_a 13.071
_cell_length_b 6.551
_cell_length_c 10.709
_cell_angle_alpha 88.40
_cell_angle_beta 90.00
_cell_angle_gamma 90.00
_space_group_name_H-M_alt 'P 1'
_space_group_IT_number 1
loop_
_space_group_symop_operation_xyz
'x,y,z'
loop_
_atom_site_label
_atom_site_type_symbol
_atom_site_fract_x
_atom_site_fract_y
_atom_site_fract_z
Cr1 Cr 0.887 0.156 0.093
Cr2 Cr 0.113 0.156 0.593
Cr3 Cr 0.638 0.189 0.117
Cr4 Cr 0.723 0.821 0.919
Cr5 Cr 0.277 0.821 0.419
Cr6 Cr 0.628 0.216 0.615
Cr7 Cr 0.362 0.189 0.617
Cr8 Cr 0.372 0.216 0.115
Cr9 Cr 0.768 0.549 0.418
Cr10 Cr 0.232 0.549 0.918
Cr11 Cr 0.129 0.192 0.100
Cr12 Cr 0.963 0.817 0.411
Cr13 Cr 0.455 0.557 0.317
Cr14 Cr 0.871 0.192 0.600
Cr15 Cr 0.037 0.817 0.911
Cr16 Cr 0.545 0.557 0.817
Si1 Si 0.239 0.325 0.363
Si2 Si 0.999 0.323 0.855
Si3 Si 0.001 0.323 0.355
Si4 Si 0.505 0.066 0.873
Si5 Si 0.495 0.066 0.373
Si6 Si 0.761 0.325 0.863
Si7 Si 0.739 0.059 0.353
Si8 Si 0.261 0.059 0.853
Br1 Br 0.122 0.802 0.223
Br2 Br 0.122 0.744 0.569
Br3 Br 0.368 0.578 0.706
Br4 Br 0.632 0.578 0.206
Br5 Br 0.387 0.645 0.053
Br6 Br 0.878 0.802 0.723
Br7 Br 0.878 0.744 0.069
Br8 Br 0.613 0.645 0.553
O1 O 0.227 0.167 0.720
O2 O 0.263 0.131 0.464
O3 O 0.022 0.128 0.958
O4 O 0.000 0.253 0.710
O5 O 0.804 0.854 0.389
O6 O 0.196 0.854 0.889
O7 O 0.505 0.149 0.017
O8 O 0.119 0.379 0.396
O9 O 0.385 0.024 0.828
O10 O 0.253 0.227 0.968
O11 O 0.978 0.128 0.458
O12 O 0.881 0.379 0.896
O13 O 0.244 0.256 0.218
O14 O 0.615 0.024 0.328
O15 O 0.689 0.520 0.893
O16 O 0.455 0.249 0.276
O17 O 0.311 0.520 0.393
O18 O 0.000 0.253 0.210
O19 O 0.925 0.511 0.389
O20 O 0.773 0.167 0.220
O21 O 0.747 0.227 0.468
O22 O 0.756 0.256 0.718
O23 O 0.427 0.860 0.356
O24 O 0.075 0.511 0.889
O25 O 0.495 0.149 0.517
O26 O 0.545 0.249 0.776
O27 O 0.737 0.131 0.964
O28 O 0.573 0.860 0.856
```



No. 8
Cs2MgMnV2Br2O6 | GGA+U | relaxed

Properties
Volume (Å³/atom): 23.1
ΔE to the lowest computed polymorph (eV/atom): 0.141
ΔH_f (0 K) (eV/atom): -1.892
Total energy after the MP2020 corrections (eV per cell): -90.2
E_tot (eV per atom): -5.785

```
data_Cs2MgMnV2Br2O6
_cell_length_a 6.227
_cell_length_b 5.598
_cell_length_c 9.685
_cell_angle_alpha 106.80
_cell_angle_beta 90.00
_cell_angle_gamma 90.00
_space_group_name_H-M_alt 'P 1'
_space_group_IT_number 1
loop_
_space_group_symop_operation_xyz
'x,y,z'
loop_
_atom_site_label
_atom_site_type_symbol
_atom_site_fract_x
_atom_site_fract_y
_atom_site_fract_z
Cs1 Cs 0.122 0.670 0.340
Cs2 Cs 0.122 0.330 0.660
Mg1 Mg 0.850 0.500 0.000
Mn1 Mn 0.415 0.000 0.000
V1 V 0.590 0.808 0.615
V2 V 0.590 0.192 0.385
Br1 Br 0.432 0.500 0.000
Br2 Br 0.951 0.000 0.000
O1 O 0.497 0.500 0.500
O2 O 0.455 0.892 0.785
O3 O 0.860 0.811 0.622
O4 O 0.860 0.189 0.378
O5 O 0.497 0.000 0.500
O6 O 0.455 0.108 0.215
```



| no. | spin magnetization (μB/f.u.) |
| --- | --- |
| 1 | 0.00 |
| 2 | 0.00 |
| 3 | 0.00 |
| 4 | 2.00 |
| 5 | 9.00 |
| 6 | 0.98 |
| 7 | 16.00 |
| 8 | 6.15 |